# La5Fe4NiO15

A geometry-optimized La5Fe4NiO15 structure (GGA+U, the Materials Project database).

abc: 5.6029 5.6029 23.1816
angles: 83.10 83.10 59.43
Last column: nearest neighbours and their distance in Å.
Sites, in units of the cell vectors:
La  0.7468  0.7468  0.7486  5 O 2.33-2.56
La  0.9451  0.9451  0.1533  5 O 2.38-2.50
La  0.3456  0.3456  0.9518  5 O 2.36-2.50
La  0.1472  0.1472  0.5513  5 O 2.38-2.54
La  0.5458  0.5458  0.3550  5 O 2.41-2.51
La  0.4542  0.4542  0.6450  5 O 2.41-2.51
La  0.6544  0.6544  0.0482  5 O 2.36-2.50
La  0.0549  0.0549  0.8467  5 O 2.38-2.50
La  0.8528  0.8528  0.4487  5 O 2.38-2.54
La  0.2532  0.2532  0.2514  5 O 2.33-2.56
Fe  0.5997  0.5997  0.2009  6 O 2.01-2.06
Fe  0.0000  0.0000  0.0000  6 O 2.02-2.05
Fe  0.4003  0.4003  0.7991  6 O 2.01-2.06
Fe  0.5000  0.5000  0.5000  6 O 1.99-2.00
Fe  0.8999  0.8999  0.3013  6 O 1.98-2.07
Fe  0.2996  0.2996  0.1008  6 O 2.01-2.06
Fe  0.7004  0.7004  0.8992  6 O 2.01-2.06
Fe  0.1001  0.1001  0.6987  6 O 1.98-2.07
Ni  0.7998  0.7998  0.5997  6 O 2.03-2.08
Ni  0.2002  0.2002  0.4003  6 O 2.03-2.08
O  0.2792  0.7814  0.7601  2 Fe 2.01-2.03
O  0.4800  0.9794  0.1603  2 Fe 2.01-2.02
O  0.8798  0.3813  0.9602  2 Fe 2.02-2.03
O  0.6795  0.1802  0.5585  1 Fe 1.99, 1 Ni 2.03
O  0.0801  0.5802  0.3590  1 Fe 1.98, 1 Ni 2.03
O  0.4198  0.9199  0.6410  1 Fe 1.98, 1 Ni 2.03
O  0.6187  0.1202  0.0398  2 Fe 2.02-2.03
O  0.0206  0.5200  0.8397  2 Fe 2.01-2.02
O  0.8198  0.3205  0.4415  1 Fe 1.99, 1 Ni 2.03
O  0.2186  0.7208  0.2399  2 Fe 2.01-2.03
O  0.9199  0.4198  0.6410  1 Fe 1.98, 1 Ni 2.03
O  0.1202  0.6187  0.0398  2 Fe 2.02-2.03
O  0.5200  0.0206  0.8397  2 Fe 2.01-2.02
O  0.3205  0.8198  0.4415  1 Fe 1.99, 1 Ni 2.03
O  0.7208  0.2186  0.2399  2 Fe 2.01-2.03
O  0.7814  0.2792  0.7601  2 Fe 2.01-2.03
O  0.9794  0.4800  0.1603  2 Fe 2.01-2.02
O  0.3813  0.8798  0.9602  2 Fe 2.02-2.03
O  0.1802  0.6795  0.5585  1 Fe 1.99, 1 Ni 2.03
O  0.5802  0.0801  0.3590  1 Fe 1.98, 1 Ni 2.03
O  0.6800  0.6800  0.5321  1 Fe 2.00, 1 Ni 2.08
O  0.0819  0.0819  0.3322  1 Fe 2.00, 1 Ni 2.08
O  0.4861  0.4861  0.1321  2 Fe 2.05-2.06
O  0.8868  0.8868  0.9317  2 Fe 2.05-2.06
O  0.2866  0.2866  0.7318  2 Fe 2.03-2.07
O  0.3200  0.3200  0.4679  1 Fe 2.00, 1 Ni 2.08
O  0.7134  0.7134  0.2682  2 Fe 2.03-2.07
O  0.1132  0.1132  0.0683  2 Fe 2.05-2.06
O  0.5139  0.5139  0.8679  2 Fe 2.05-2.06
O  0.9181  0.9181  0.6678  1 Fe 2.00, 1 Ni 2.08

* crystal system: monoclinic
* VASP energy: -7.421 eV per atom
* magnetic moment: 0.84 μB/atom